Record 1
Entry from Materials Project: an optimized crystal structure of Cr2CoNi3P6O24 (PBE+U).

Cell lengths 8.345, 8.345, 8.345 Å; angles 61.96, 61.96, 61.96 degrees
Positions (direct):
Cr (0.000, 0.000, 0.000)
Cr (0.500, 0.500, 0.500)
Co (0.860, 0.860, 0.860)
Ni (0.141, 0.141, 0.141)
Ni (0.357, 0.357, 0.357)
Ni (0.641, 0.641, 0.641)
P (0.044, 0.458, 0.750)
P (0.248, 0.950, 0.547)
P (0.458, 0.750, 0.044)
P (0.547, 0.248, 0.950)
P (0.750, 0.044, 0.458)
P (0.950, 0.547, 0.248)
O (0.002, 0.615, 0.824)
O (0.054, 0.253, 0.904)
O (0.087, 0.937, 0.754)
O (0.101, 0.513, 0.321)
O (0.171, 0.990, 0.396)
O (0.252, 0.439, 0.602)
O (0.253, 0.904, 0.054)
O (0.321, 0.101, 0.513)
O (0.396, 0.171, 0.990)
O (0.397, 0.744, 0.567)
O (0.439, 0.602, 0.252)
O (0.498, 0.666, 0.897)
O (0.513, 0.321, 0.101)
O (0.567, 0.397, 0.744)
O (0.602, 0.252, 0.439)
O (0.615, 0.824, 0.002)
O (0.666, 0.897, 0.498)
O (0.744, 0.567, 0.397)
O (0.754, 0.087, 0.937)
O (0.824, 0.002, 0.615)
O (0.897, 0.498, 0.666)
O (0.904, 0.054, 0.253)
O (0.937, 0.754, 0.087)
O (0.990, 0.396, 0.171)

- energy of formation (eV per atom) = -2.1215
- space group = No. 146
- electronic total energy (eV per atom) = -6.7115

***

Record 2
Entry from Materials Project: an optimized crystal structure of CrCoO4 (PBE+U).

Cell lengths 5.047, 5.047, 6.391 Å; angles 90.04, 90.04, 66.93 degrees
Positions (direct):
Cr (0.145, 0.145, 0.251)
Cr (0.855, 0.855, 0.749)
Co (0.500, 0.500, 0.000)
Co (0.500, 0.500, 0.500)
O (0.224, 0.716, 0.749)
O (0.259, 0.259, 0.043)
O (0.259, 0.259, 0.458)
O (0.284, 0.776, 0.251)
O (0.716, 0.224, 0.749)
O (0.741, 0.741, 0.542)
O (0.741, 0.741, 0.957)
O (0.776, 0.284, 0.251)

- energy of formation (eV per atom) = -1.5696
- space group = No. 12
- electronic total energy (eV per atom) = -6.5976

***

Record 3
Entry from Materials Project: an optimized crystal structure of CrCo2O6 (PBE+U).

Cell lengths 4.944, 4.944, 9.719 Å; angles 90.00, 90.00, 61.00 degrees
Positions (direct):
Cr (0.000, 0.000, 0.000)
Cr (0.500, 0.500, 0.500)
Co (0.166, 0.166, 0.500)
Co (0.334, 0.334, 0.000)
Co (0.666, 0.666, 0.000)
Co (0.834, 0.834, 0.500)
O (0.002, 0.661, 0.903)
O (0.158, 0.842, 0.598)
O (0.161, 0.502, 0.403)
O (0.339, 0.998, 0.903)
O (0.342, 0.658, 0.098)
O (0.498, 0.839, 0.403)
O (0.502, 0.161, 0.597)
O (0.658, 0.342, 0.902)
O (0.661, 0.002, 0.097)
O (0.839, 0.498, 0.597)
O (0.842, 0.158, 0.402)
O (0.998, 0.339, 0.097)

- energy of formation (eV per atom) = -1.3169
- space group = No. 64
- electronic total energy (eV per atom) = -6.2236

***

Record 4
Entry from Materials Project: an optimized crystal structure of Cr2CoO4 (PBE+U).

Cell lengths 5.988, 5.988, 5.988 Å; angles 60.00, 60.00, 60.00 degrees
Positions (direct):
Cr (0.000, 0.000, 0.000)
Cr (0.000, 0.000, 0.500)
Cr (0.000, 0.500, 0.000)
Cr (0.500, 0.000, 0.000)
Co (0.375, 0.375, 0.375)
Co (0.625, 0.625, 0.625)
O (0.216, 0.761, 0.761)
O (0.239, 0.239, 0.239)
O (0.239, 0.239, 0.784)
O (0.239, 0.784, 0.239)
O (0.761, 0.216, 0.761)
O (0.761, 0.761, 0.216)
O (0.761, 0.761, 0.761)
O (0.784, 0.239, 0.239)

- energy of formation (eV per atom) = -2.1360
- space group = No. 227
- electronic total energy (eV per atom) = -7.5392

***

Record 5
Entry from Materials Project: an optimized crystal structure of CrCoO4 (PBE+U).

Cell lengths 10.464, 6.084, 4.951 Å; angles 90.00, 90.00, 90.00 degrees
Positions (direct):
Cr (0.094, 0.250, 0.092)
Cr (0.406, 0.750, 0.592)
Cr (0.594, 0.250, 0.408)
Cr (0.906, 0.750, 0.908)
Co (0.231, 0.750, 0.027)
Co (0.269, 0.250, 0.527)
Co (0.731, 0.750, 0.473)
Co (0.769, 0.250, 0.973)
O (0.060, 0.750, 0.831)
O (0.111, 0.250, 0.762)
O (0.172, 0.031, 0.226)
O (0.172, 0.469, 0.226)
O (0.328, 0.531, 0.726)
O (0.328, 0.969, 0.726)
O (0.389, 0.750, 0.262)
O (0.440, 0.250, 0.331)
O (0.560, 0.750, 0.669)
O (0.611, 0.250, 0.738)
O (0.672, 0.031, 0.274)
O (0.672, 0.469, 0.274)
O (0.828, 0.531, 0.774)
O (0.828, 0.969, 0.774)
O (0.889, 0.750, 0.238)
O (0.940, 0.250, 0.169)

- energy of formation (eV per atom) = -1.5117
- space group = No. 62
- electronic total energy (eV per atom) = -6.5397

***

Record 6
Entry from Materials Project: an optimized crystal structure of CrCo2O6 (PBE+U).

Cell lengths 6.467, 6.467, 5.800 Å; angles 103.38, 103.38, 25.44 degrees
Positions (direct):
Cr (0.000, 0.000, 0.000)
Co (0.332, 0.332, 0.662)
Co (0.668, 0.668, 0.338)
O (0.159, 0.159, 0.121)
O (0.180, 0.180, 0.552)
O (0.486, 0.486, 0.772)
O (0.514, 0.514, 0.228)
O (0.820, 0.820, 0.448)
O (0.841, 0.841, 0.879)

- energy of formation (eV per atom) = -1.3204
- space group = No. 12
- electronic total energy (eV per atom) = -6.2271